Arrangement P

The following is a DFT calculation (meta-GGA r2SCAN) of crystalline AcLa3 at its relaxed geometry.

a b c (Å): 6.5793 6.5793 6.5793
angles (deg): 131.30 131.30 71.34
Closest atoms and distances in Å follow each position.
Positions (direct):
Ac  0.0000  0.0000  0.0000  12 La 3.81-3.84
La  0.2500  0.7500  0.5000  4 Ac 3.81, 8 La 3.81-3.84
La  0.5000  0.5000  0.0000  8 La 3.81, 4 Ac 3.84
La  0.7500  0.2500  0.5000  4 Ac 3.81, 8 La 3.81-3.84

Values from the calculation:
V	39.34	Å³/atom

***

Arrangement Q

The following is a DFT calculation (meta-GGA r2SCAN) of crystalline AcLa3 at its relaxed geometry.

a b c (Å): 7.7306 7.7306 6.2222
angles (deg): 90.00 90.00 120.00
Closest atoms and distances in Å follow each position.
Positions (direct):
Ac  0.3333  0.6667  0.2500  12 La 3.85-3.87
Ac  0.6667  0.3333  0.7500  12 La 3.85-3.87
La  0.1638  0.3275  0.7500  8 La 3.80-3.93, 4 Ac 3.85-3.87
La  0.1638  0.8362  0.7500  8 La 3.80-3.93, 4 Ac 3.85-3.87
La  0.3275  0.1638  0.2500  8 La 3.80-3.93, 4 Ac 3.85-3.87
La  0.6725  0.8362  0.7500  8 La 3.80-3.93, 4 Ac 3.85-3.87
La  0.8362  0.1638  0.2500  8 La 3.80-3.93, 4 Ac 3.85-3.87
La  0.8362  0.6725  0.2500  8 La 3.80-3.93, 4 Ac 3.85-3.87

Values from the calculation:
V	40.25	Å³/atom

***

Ordering by calculated energy gives the sequence arrangement P, arrangement Q, with the first entry being the most stable.

***

Arrangement P

The following is a DFT calculation (meta-GGA r2SCAN) of crystalline MgAg3 at its relaxed geometry.

a b c (Å): 4.1184 4.1184 4.1184
angles (deg): 90.00 90.00 90.00
Closest atoms and distances in Å follow each position.
Positions (direct):
Mg  0.0000  0.0000  0.0000  12 Ag 2.91
Ag  0.0000  0.5000  0.5000  4 Mg 2.91, 8 Ag 2.91
Ag  0.5000  0.0000  0.5000  4 Mg 2.91, 8 Ag 2.91
Ag  0.5000  0.5000  0.0000  4 Mg 2.91, 8 Ag 2.91

Values from the calculation:
V	17.46	Å³/atom

***

Arrangement Q

The following is a DFT calculation (meta-GGA r2SCAN) of crystalline MgAg3 at its relaxed geometry.

a b c (Å): 5.0658 5.0658 5.0658
angles (deg): 132.26 132.26 69.81
Closest atoms and distances in Å follow each position.
Positions (direct):
Mg  0.0000  0.0000  0.0000  12 Ag 2.90-2.92
Ag  0.2500  0.7500  0.5000  8 Ag 2.90-2.92, 4 Mg 2.92
Ag  0.5000  0.5000  0.0000  4 Mg 2.90, 8 Ag 2.92
Ag  0.7500  0.2500  0.5000  8 Ag 2.90-2.92, 4 Mg 2.92

Values from the calculation:
V	17.46	Å³/atom

***

Ordering by calculated energy gives the sequence arrangement Q, arrangement P, with the first entry being the most stable.

***

Arrangement P

The following is a DFT calculation (meta-GGA r2SCAN) of crystalline AlGaN2 at its relaxed geometry.

a b c (Å): 3.1409 3.1409 4.4238
angles (deg): 90.00 90.00 90.00
Closest atoms and distances in Å follow each position.
Positions (direct):
Al  0.0000  0.0000  0.0000  4 N 1.89
Ga  0.5000  0.5000  0.5000  4 N 1.95
N  0.0000  0.5000  0.2383  2 Al 1.89, 2 Ga 1.95
N  0.5000  0.0000  0.7617  2 Al 1.89, 2 Ga 1.95

Values from the calculation:
V	10.91	Å³/atom

***

Arrangement Q

The following is a DFT calculation (meta-GGA r2SCAN) of crystalline AlGaN2 at its relaxed geometry.

a b c (Å): 3.1453 3.1453 5.0969
angles (deg): 90.00 90.00 120.00
Closest atoms and distances in Å follow each position.
Positions (direct):
Al  0.0000  0.0000  0.0000  4 N 1.89-1.90
Ga  0.6667  0.3333  0.4979  4 N 1.93-1.96
N  0.0000  0.0000  0.6289  1 Al 1.89, 3 Ga 1.93
N  0.6667  0.3333  0.1125  3 Al 1.90, 1 Ga 1.96

Values from the calculation:
V	10.92	Å³/atom

***

Ordering by calculated energy gives the sequence arrangement Q, arrangement P, with the first entry being the most stable.

***

Arrangement P

The following is a DFT calculation (meta-GGA r2SCAN) of crystalline Nd3Al at its relaxed geometry.

a b c (Å): 7.1298 7.1298 5.3463
angles (deg): 90.00 90.00 120.00
Closest atoms and distances in Å follow each position.
Positions (direct):
Nd  0.1790  0.3580  0.2500  4 Al 3.28-3.57, 6 Nd 3.30-3.47
Nd  0.1790  0.8210  0.2500  4 Al 3.28-3.57, 6 Nd 3.30-3.47
Nd  0.3580  0.1790  0.7500  4 Al 3.28-3.57, 6 Nd 3.30-3.47
Nd  0.6420  0.8210  0.2500  4 Al 3.28-3.57, 6 Nd 3.30-3.47
Nd  0.8210  0.1790  0.7500  4 Al 3.28-3.57, 6 Nd 3.30-3.47
Nd  0.8210  0.6420  0.7500  4 Al 3.28-3.57, 6 Nd 3.30-3.47
Al  0.3333  0.6667  0.7500  12 Nd 3.28-3.57
Al  0.6667  0.3333  0.2500  12 Nd 3.28-3.57

Values from the calculation:
V	29.42	Å³/atom

***

Arrangement Q

The following is a DFT calculation (meta-GGA r2SCAN) of crystalline Nd3Al at its relaxed geometry.

a b c (Å): 4.8813 4.8813 4.8813
angles (deg): 90.00 90.00 90.00
Closest atoms and distances in Å follow each position.
Positions (direct):
Nd  0.0000  0.0000  0.5000  8 Nd 3.45, 4 Al 3.45
Nd  0.0000  0.5000  0.0000  4 Al 3.45, 8 Nd 3.45
Nd  0.5000  0.0000  0.0000  8 Nd 3.45, 4 Al 3.45
Al  0.5000  0.5000  0.5000  12 Nd 3.45

Values from the calculation:
V	29.08	Å³/atom

***

Ordering by calculated energy gives the sequence arrangement P, arrangement Q, with the first entry being the most stable.

***

Arrangement P

The following is a DFT calculation (meta-GGA r2SCAN) of crystalline Pr3Al at its relaxed geometry.

a b c (Å): 4.9275 4.9275 4.9275
angles (deg): 90.00 90.00 90.00
Closest atoms and distances in Å follow each position.
Positions (direct):
Pr  0.0000  0.0000  0.5000  4 Al 3.48, 8 Pr 3.48
Pr  0.0000  0.5000  0.0000  4 Al 3.48, 8 Pr 3.48
Pr  0.5000  0.0000  0.0000  4 Al 3.48, 8 Pr 3.48
Al  0.5000  0.5000  0.5000  12 Pr 3.48

Values from the calculation:
V	29.91	Å³/atom

***

Arrangement Q

The following is a DFT calculation (meta-GGA r2SCAN) of crystalline Pr3Al at its relaxed geometry.

a b c (Å): 7.1898 7.1898 5.4016
angles (deg): 90.00 90.00 120.00
Closest atoms and distances in Å follow each position.
Positions (direct):
Pr  0.1795  0.3591  0.2500  4 Al 3.31-3.60, 6 Pr 3.32-3.51
Pr  0.1795  0.8205  0.2500  4 Al 3.31-3.60, 6 Pr 3.32-3.51
Pr  0.3591  0.1795  0.7500  4 Al 3.31-3.60, 6 Pr 3.32-3.51
Pr  0.6409  0.8205  0.2500  4 Al 3.31-3.60, 6 Pr 3.32-3.51
Pr  0.8205  0.1795  0.7500  4 Al 3.31-3.60, 6 Pr 3.32-3.51
Pr  0.8205  0.6409  0.7500  4 Al 3.31-3.60, 6 Pr 3.32-3.51
Al  0.3333  0.6667  0.7500  12 Pr 3.31-3.60
Al  0.6667  0.3333  0.2500  12 Pr 3.31-3.60

Values from the calculation:
V	30.23	Å³/atom

***

Ordering by calculated energy gives the sequence arrangement Q, arrangement P, with the first entry being the most stable.